The following is a PBE calculation of K7NaTe4O32 after structural relaxation, from Materials Project.

Summary:
The value obtained for the volume is 21.3 A^3/atom. The magnetic moment is 20.0 μB/f.u. For the total energy, the calculation gives -202.81 eV for the cell shown. Its symmetry is Immm, No. 71.

a b c (Å): 12.242 12.242 12.242
angles (deg): 147.72 98.55 90.34
Atoms (fractional coordinates):
1 Te 0.693 0.791 0.901
2 O 0.729 0.993 0.550
3 K 0.125 0.625 0.500
4 O 0.312 0.487 0.380
5 O 0.444 0.179 0.450
6 K 0.875 0.375 0.500
7 Te 0.110 0.209 0.901
8 K 0.265 0.500 0.765
9 O 0.444 0.993 0.264
10 O 0.100 0.595 0.695
11 O 0.117 0.295 0.823
12 O 0.271 0.821 0.264
13 O 0.900 0.405 0.305
14 O 0.053 0.878 0.175
15 O 0.688 0.067 0.175
16 O 0.716 0.716 0.000
17 O 0.528 0.705 0.823
18 O 0.883 0.705 0.177
19 K 0.735 0.500 0.235
20 O 0.108 0.487 0.175
21 O 0.947 0.122 0.825
22 O 0.892 0.067 0.380
23 O 0.729 0.179 0.736
24 O 0.108 0.933 0.620
25 K 0.297 0.797 0.500
26 O 0.271 0.007 0.450
27 O 0.556 0.821 0.550
28 Te 0.890 0.791 0.099
29 O 0.100 0.405 0.505
30 Na 0.000 0.000 0.000
31 O 0.868 0.868 0.000
32 O 0.472 0.295 0.177
33 O 0.703 0.878 0.825
34 K 0.500 0.000 0.500
35 O 0.312 0.933 0.825
36 O 0.892 0.513 0.825
37 O 0.284 0.284 0.000
38 K 0.703 0.203 0.500
39 O 0.688 0.513 0.620
40 O 0.556 0.007 0.736
41 O 0.132 0.132 0.000
42 O 0.297 0.122 0.175
43 O 0.900 0.595 0.495
44 Te 0.307 0.209 0.099